# 1
SrLaMnRuO6, relaxed, DFT PBE+U; ΔE to the lowest computed polymorph = 18.0 meV/atom; size of the total moment = 0.0 μB/cell; total energy after the MP2020 corrections = -8.073 eV/atom; formation energy = -2.598 eV/atom
1.0
4.8956 -0.0177 2.7333
-3.3854 4.7092 5.7124
-1.6273 -4.6484 2.8737
Sr La Mn Ru O
2 2 2 2 12
direct
0.4917 0.2445 0.0012
0.9917 0.7445 0.5011
0.4923 0.7438 0.0012
0.9923 0.2438 0.5012
0.4959 0.9954 0.5003
0.9959 0.4954 0.0001
0.4979 0.4979 0.5006
0.9979 0.9979 0.0006
0.7063 0.5469 0.7778
0.2063 0.0469 0.2778
0.7902 0.4626 0.3073
0.2902 0.9626 0.8073
0.0049 0.2412 0.9165
0.5049 0.7412 0.4165
0.9948 0.7602 0.0638
0.4948 0.2602 0.5637
0.2288 0.5360 0.7113
0.7287 0.0360 0.2114
0.2972 0.4715 0.2202
0.7972 0.9715 0.7202

# 2
Sr3La3Mn3RuO14, relaxed, DFT PBE+U; size of the total moment = 10.0 μB/cell; total energy after the MP2020 corrections = -8.074 eV/atom; formation energy = -2.828 eV/atom
1.0
-3.9630 3.9630 0.0000
-3.9577 -3.9577 0.0000
-1.9815 1.9815 10.2833
Sr La Mn Ru O
3 3 3 1 14
direct
0.9990 0.5000 0.0019
0.8175 0.5000 0.3650
0.3161 0.0000 0.3677
0.4977 0.0000 0.0046
0.6830 0.0000 0.6340
0.1806 0.5000 0.6387
0.5976 0.5000 0.8047
0.0968 0.0000 0.8064
0.8987 0.0000 0.2027
0.3989 0.5000 0.2021
0.1981 0.0000 0.6038
0.7014 0.5000 0.5971
0.2972 0.5000 0.4055
0.7946 0.0000 0.4108
0.3496 0.2448 0.8003
0.8502 0.7552 0.8003
0.8502 0.2448 0.8003
0.3496 0.7552 0.8003
0.1653 0.2485 0.1883
0.6464 0.7515 0.1883
0.6464 0.2485 0.1883
0.1653 0.7515 0.1883
0.4969 0.5000 0.0061
0.0028 0.0000 0.9944

# 3
SrLaMnRuO6, relaxed, DFT PBE+U; ΔE to the lowest computed polymorph = 0.0 meV/atom; size of the total moment = 4.0 μB/cell; total energy after the MP2020 corrections = -8.091 eV/atom; formation energy = -2.616 eV/atom
1.0
-0.6932 -3.1867 -4.6096
4.2299 -5.8899 3.4461
-4.8498 -2.1761 2.2336
Sr La Mn Ru O
2 2 2 2 12
direct
0.9938 0.2511 0.9619
0.4938 0.7511 0.5381
0.5106 0.2521 0.4489
0.0106 0.7521 0.0511
0.5005 0.5014 0.9930
0.0005 0.0014 0.5070
0.5004 0.0000 0.9978
0.0004 0.5000 0.5022
0.4302 0.2410 0.0277
0.9302 0.7409 0.4723
0.7962 0.4580 0.2253
0.2962 0.9580 0.2747
0.7779 0.0375 0.2035
0.2779 0.5375 0.2965
0.0905 0.2590 0.5185
0.5904 0.7590 0.9815
0.7123 0.4553 0.6937
0.2123 0.9553 0.8063
0.6877 0.0447 0.7100
0.1877 0.5447 0.7900

# 4
La3MnWS3O6, relaxed, DFT PBE+U; size of the total moment = 8.0 μB/cell; total energy after the MP2020 corrections = -8.359 eV/atom; formation energy = -2.714 eV/atom
1.0
-1.8860 4.0493 -8.4207
-4.2942 -8.1540 2.4358
-4.1977 2.9095 2.3393
La Mn W S O
6 2 2 6 12
direct
0.6811 0.5925 0.2500
0.3189 0.4075 0.7500
0.5925 0.9115 0.7500
0.0885 0.6811 0.7500
0.9115 0.3189 0.2500
0.4075 0.0885 0.2500
0.0000 0.0000 0.0000
0.0000 0.0000 0.5000
0.3333 0.6667 0.2500
0.6667 0.3333 0.7500
0.7688 0.9540 0.2500
0.2312 0.0460 0.7500
0.0460 0.8148 0.2500
0.1852 0.2312 0.2500
0.8148 0.7688 0.7500
0.9540 0.1852 0.7500
0.4730 0.6341 0.0244
0.5270 0.3659 0.5244
0.3659 0.8389 0.0244
0.1611 0.5270 0.0244
0.8389 0.4730 0.5244
0.6341 0.1611 0.5244
0.5270 0.3659 0.9756
0.4730 0.6341 0.4756
0.6341 0.1611 0.9756
0.8389 0.4730 0.9756
0.1611 0.5270 0.4756
0.3659 0.8389 0.4756

# 5
La3MnWS3O6, relaxed, DFT PBE+U; size of the total moment = 8.0 μB/cell; total energy after the MP2020 corrections = -8.359 eV/atom; formation energy = -2.715 eV/atom
1.0
-0.7727 8.0406 5.0890
-6.5324 -6.8962 0.9418
3.0517 -2.2525 4.1682
La Mn W S O
6 2 2 6 12
direct
0.6792 0.5921 0.2501
0.3208 0.4079 0.7499
0.5921 0.9129 0.7496
0.0871 0.6792 0.7505
0.9129 0.3208 0.2495
0.4079 0.0871 0.2504
0.0000 0.0000 0.0000
0.0000 0.0000 0.5000
0.3331 0.6666 0.2501
0.6669 0.3334 0.7499
0.7690 0.9550 0.2373
0.2310 0.0450 0.7627
0.0450 0.8144 0.2596
0.1853 0.2302 0.2530
0.8147 0.7698 0.7470
0.9550 0.1856 0.7404
0.4719 0.6317 0.0247
0.5287 0.3669 0.5259
0.3671 0.8385 0.0259
0.1611 0.5282 0.0255
0.8396 0.4717 0.5252
0.6323 0.1602 0.5247
0.5281 0.3683 0.9753
0.4713 0.6331 0.4741
0.6328 0.1615 0.9741
0.8389 0.4718 0.9745
0.1604 0.5283 0.4748
0.3677 0.8398 0.4753

# 6
La7SmMn8O24, relaxed, DFT PBE+U; size of the total moment = 32.0 μB/cell; total energy after the MP2020 corrections = -8.693 eV/atom; formation energy = -2.910 eV/atom
1.0
-4.2340 2.4014 -6.1897
-6.1940 1.2143 4.7081
2.3903 7.4003 1.2360
La Sm Mn O
7 1 8 24
direct
0.5000 0.0000 0.0000
0.5000 0.0000 0.5000
0.5000 0.5000 0.0000
0.5000 0.5000 0.5000
0.0000 0.0000 0.5000
0.0000 0.5000 0.0000
0.0000 0.5000 0.5000
0.0000 0.0000 0.0000
0.2496 0.7504 0.7504
0.2496 0.7504 0.2496
0.2496 0.2496 0.7504
0.2496 0.2496 0.2496
0.7504 0.7504 0.7504
0.7504 0.7504 0.2496
0.7504 0.2496 0.7504
0.7504 0.2496 0.2496
0.5000 0.7501 0.7501
0.5000 0.7501 0.2499
0.5000 0.2499 0.7501
0.5000 0.2499 0.2499
0.0000 0.7519 0.7519
0.0000 0.7519 0.2481
0.0000 0.2481 0.7519
0.0000 0.2481 0.2481
0.2481 0.0000 0.7519
0.2481 0.0000 0.2481
0.2499 0.5000 0.7501
0.2499 0.5000 0.2499
0.7519 0.0000 0.7519
0.7519 0.0000 0.2481
0.7501 0.5000 0.7501
0.7501 0.5000 0.2499
0.2481 0.7519 0.0000
0.2499 0.7501 0.5000
0.2481 0.2481 0.0000
0.2499 0.2499 0.5000
0.7519 0.7519 0.0000
0.7501 0.7501 0.5000
0.7519 0.2481 0.0000
0.7501 0.2499 0.5000

# 7
SrLa3MnO8, relaxed, DFT PBE+U; size of the total moment = 5.7 μB/cell; total energy after the MP2020 corrections = -8.127 eV/atom; formation energy = -3.108 eV/atom
1.0
2.6726 -6.3986 0.0000
2.6726 6.3986 0.0000
0.0000 0.0000 10.8867
Sr La Mn O
2 6 2 16
direct
0.3619 0.6381 0.7500
0.6381 0.3619 0.2500
0.1339 0.8661 0.0018
0.6346 0.3654 0.7500
0.8661 0.1339 0.9982
0.3654 0.6346 0.2500
0.1339 0.8661 0.4982
0.8661 0.1339 0.5018
0.9994 0.0006 0.7500
0.0006 0.9994 0.2500
0.7570 0.7526 0.8723
0.1588 0.8412 0.7500
0.3096 0.6904 0.0186
0.8413 0.1587 0.7500
0.2474 0.2430 0.8723
0.7526 0.7570 0.1277
0.2430 0.2474 0.1277
0.6904 0.3096 0.9814
0.1587 0.8413 0.2500
0.7526 0.7570 0.3723
0.3096 0.6904 0.4814
0.8412 0.1588 0.2500
0.2430 0.2474 0.3723
0.7570 0.7526 0.6277
0.6904 0.3096 0.5186
0.2474 0.2430 0.6277

# 8
SrLa2Mn3O9, relaxed, DFT PBE+U; ΔE to the lowest computed polymorph = 25.3 meV/atom; size of the total moment = 11.0 μB/cell; total energy after the MP2020 corrections = -8.401 eV/atom; formation energy = -2.829 eV/atom
1.0
-1.7881 5.1466 0.9939
5.4323 -1.1137 0.0831
0.3846 1.4054 -6.6296
Sr La Mn O
1 2 3 9
direct
0.0000 0.0000 0.0000
0.6667 0.3334 0.3329
0.3333 0.6666 0.6671
0.6666 0.3333 0.8351
0.3334 0.6667 0.1649
0.0000 0.0000 0.5000
0.8304 0.6607 0.6591
0.1697 0.3393 0.3409
0.8305 0.1695 0.6589
0.1695 0.8305 0.3411
0.3387 0.1693 0.6586
0.6614 0.8307 0.3414
0.5000 0.5000 0.0000
0.0000 0.5000 0.0000
0.5000 0.0000 0.0000

# 9
SrLa2Mn3O9, relaxed, DFT PBE+U; ΔE to the lowest computed polymorph = 2.4 meV/atom; size of the total moment = 44.0 μB/cell; total energy after the MP2020 corrections = -8.424 eV/atom; formation energy = -2.852 eV/atom
1.0
-3.4096 4.3251 -0.5666
-1.7361 -0.1314 9.4438
10.4179 8.5090 2.2616
Sr La Mn O
4 8 12 36
direct
0.4923 0.4963 0.7502
0.9923 0.0037 0.2498
0.5077 0.5037 0.2498
0.0077 0.9963 0.7502
0.4907 0.1698 0.4171
0.4915 0.8370 0.0845
0.9915 0.6630 0.9155
0.9907 0.3302 0.5829
0.5093 0.8302 0.5829
0.5085 0.1630 0.9155
0.0093 0.6698 0.4171
0.0085 0.3370 0.0845
0.5000 0.5000 0.0000
0.4993 0.1655 0.6680
0.5007 0.8345 0.3320
0.0000 0.0000 0.0000
0.0007 0.6655 0.6680
0.9993 0.3345 0.3320
0.4995 0.8327 0.8328
0.5000 0.5000 0.5000
0.5005 0.1673 0.1672
0.9995 0.6673 0.1672
0.0005 0.3327 0.8328
0.0000 0.0000 0.5000
0.5035 0.0233 0.2724
0.5019 0.6892 0.9403
0.5024 0.3492 0.5996
0.0019 0.8108 0.0597
0.0035 0.4767 0.7276
0.0024 0.1508 0.4004
0.4965 0.9767 0.7276
0.4976 0.6508 0.4004
0.4981 0.3108 0.0597
0.9981 0.1892 0.9403
0.9976 0.8492 0.5996
0.9965 0.5233 0.2724
0.7363 0.7678 0.2342
0.7452 0.4359 0.9062
0.7346 0.0999 0.5664
0.2452 0.0641 0.0938
0.2363 0.7322 0.7658
0.2346 0.4001 0.4336
0.2658 0.9426 0.9139
0.2623 0.6097 0.5731
0.2580 0.2733 0.2418
0.7580 0.2267 0.7582
0.7623 0.8903 0.4269
0.7658 0.5574 0.0861
0.2637 0.2322 0.7658
0.2654 0.9001 0.4336
0.2548 0.5641 0.0938
0.7548 0.9359 0.9062
0.7654 0.5999 0.5664
0.7637 0.2678 0.2342
0.7342 0.0574 0.0861
0.7420 0.7267 0.7582
0.7377 0.3903 0.4269
0.2420 0.7733 0.2418
0.2342 0.4426 0.9139
0.2377 0.1097 0.5731

# 10
Sr3LaMn4O10, relaxed, DFT PBE+U; size of the total moment = 17.0 μB/cell; total energy after the MP2020 corrections = -8.023 eV/atom; formation energy = -2.682 eV/atom
1.0
-3.1151 1.8039 1.6850
0.4579 -3.3839 4.4692
6.6816 7.1174 4.7325
Sr La Mn O
3 1 4 10
direct
0.5000 0.7883 0.8609
0.5000 0.7120 0.3711
0.5000 0.2890 0.6325
0.5000 0.1998 0.1345
0.0000 0.2350 0.3777
0.0000 0.7657 0.6226
0.0000 0.7307 0.1205
0.0000 0.2683 0.8794
0.0000 0.9468 0.2754
0.0000 0.0475 0.7279
0.0000 0.4259 0.2085
0.0000 0.5479 0.7771
0.0000 0.5028 0.4978
0.0000 0.0183 0.0100
0.5000 0.2146 0.3865
0.5000 0.7960 0.6040
0.5000 0.7142 0.1049
0.5000 0.2970 0.9086

# 11
SrLa2Mn3O9, relaxed, DFT PBE+U; ΔE to the lowest computed polymorph = 54.2 meV/atom; size of the total moment = 5.0 μB/cell; total energy after the MP2020 corrections = -8.372 eV/atom; formation energy = -2.800 eV/atom
1.0
-2.7737 -4.8043 0.0000
-2.7737 4.8043 0.0000
0.0000 0.0000 -6.7719
Sr La Mn O
1 2 3 9
direct
0.0000 0.0000 0.0003
0.6667 0.3333 0.3310
0.3333 0.6667 0.6660
0.3333 0.6667 0.1651
0.0000 0.0000 0.4986
0.6667 0.3333 0.8339
0.4950 0.5049 0.0071
0.0099 0.5050 0.0071
0.4951 0.9901 0.0071
0.8316 0.6631 0.6580
0.1737 0.3474 0.3366
0.8316 0.1684 0.6580
0.1737 0.8263 0.3366
0.3369 0.1684 0.6580
0.6526 0.8263 0.3366

# 12
Sr2LaMn2O7, relaxed, DFT PBE+U; ΔE to the lowest computed polymorph = 27.2 meV/atom; size of the total moment = 14.0 μB/cell; total energy after the MP2020 corrections = -7.924 eV/atom; formation energy = -2.818 eV/atom
1.0
3.2481 -4.4663 0.8239
1.6897 -0.0319 -5.3190
9.2821 3.7779 2.8085
Sr La Mn O
4 2 4 14
direct
0.1809 0.5000 0.6382
0.6810 0.0000 0.6379
0.0051 0.5000 0.9898
0.5048 0.0000 0.9903
0.3173 0.0000 0.3654
0.8177 0.5000 0.3647
0.0986 0.0001 0.8030
0.4032 0.5000 0.1935
0.5987 0.5000 0.8026
0.9049 0.0000 0.1901
0.1993 0.0000 0.6015
0.7017 0.5000 0.5966
0.3032 0.4999 0.3934
0.8055 0.0000 0.3890
0.4977 0.5000 0.0047
0.0001 0.0000 0.9998
0.8625 0.7653 0.8053
0.3322 0.2347 0.8053
0.3479 0.7503 0.8040
0.8481 0.2497 0.8039
0.6320 0.7371 0.2059
0.1621 0.2629 0.2059
0.1516 0.7468 0.2046
0.6438 0.2532 0.2046

# 13
SrLaMnO4, relaxed, DFT PBE+U; ΔE to the lowest computed polymorph = 0.0 meV/atom; size of the total moment = 4.0 μB/cell; total energy after the MP2020 corrections = -8.112 eV/atom; formation energy = -3.029 eV/atom
1.0
3.8897 0.0000 0.0000
0.0000 3.8897 0.0000
1.9449 1.9449 6.4334
Sr La Mn O
1 1 1 4
direct
0.3568 0.3568 0.2864
0.6434 0.6434 0.7131
0.9972 0.9972 0.0057
0.5056 0.0056 0.9889
0.0056 0.5056 0.9889
0.1678 0.1678 0.6644
0.8236 0.8236 0.3527